Record 1
Ge2MoO6: relaxed, GGA+U.

The structure in POSCAR format:
```
Ge2MoO6
1.0
5.073 -4.554 0.000
5.073 4.554 0.000
-1.657 0.000 5.426
Ge Mo O
4 2 12
direct
0.115 0.290 0.261
0.290 0.115 0.761
0.710 0.885 0.239
0.885 0.710 0.739
0.404 0.596 0.750
0.596 0.404 0.250
0.114 0.165 0.501
0.128 0.599 0.810
0.165 0.114 0.001
0.315 0.461 0.365
0.401 0.872 0.690
0.461 0.315 0.865
0.539 0.685 0.135
0.599 0.128 0.310
0.685 0.539 0.635
0.835 0.886 0.999
0.872 0.401 0.190
0.886 0.835 0.499
```

## Properties
ΔE to the lowest computed polymorph ... 0.000 eV per atom
Symmetry ... C2/c, No. 15
Size of the total moment ... 2.00 μB per formula unit
Calculated formation energy ... -1.999 eV/atom

Record 2
Ge3Mo2O12: relaxed, GGA+U.

The structure in POSCAR format:
```
Ge3Mo2O12
1.0
-6.194 6.194 6.194
6.194 -6.194 6.194
6.194 6.194 -6.194
Ge Mo O
12 8 48
direct
0.125 0.750 0.875
0.125 0.875 0.250
0.250 0.125 0.875
0.250 0.625 0.375
0.375 0.250 0.625
0.375 0.625 0.750
0.625 0.375 0.250
0.625 0.750 0.375
0.750 0.375 0.625
0.750 0.875 0.125
0.875 0.125 0.750
0.875 0.250 0.125
0.000 0.000 0.000
0.000 0.000 0.500
0.000 0.500 0.000
0.000 0.500 0.500
0.500 0.000 0.000
0.500 0.000 0.500
0.500 0.500 0.000
0.500 0.500 0.500
0.006 0.189 0.109
0.006 0.317 0.897
0.080 0.689 0.683
0.080 0.891 0.397
0.103 0.609 0.420
0.103 0.994 0.683
0.109 0.006 0.189
0.109 0.603 0.920
0.183 0.189 0.580
0.183 0.494 0.603
0.189 0.109 0.006
0.189 0.580 0.183
0.311 0.317 0.920
0.311 0.494 0.391
0.317 0.897 0.006
0.317 0.920 0.311
0.391 0.311 0.494
0.391 0.580 0.897
0.397 0.080 0.891
0.397 0.817 0.506
0.420 0.103 0.609
0.420 0.817 0.811
0.494 0.391 0.311
0.494 0.603 0.183
0.506 0.397 0.817
0.506 0.609 0.689
0.580 0.183 0.189
0.580 0.897 0.391
0.603 0.183 0.494
0.603 0.920 0.109
0.609 0.420 0.103
0.609 0.689 0.506
0.683 0.080 0.689
0.683 0.103 0.994
0.689 0.506 0.609
0.689 0.683 0.080
0.811 0.420 0.817
0.811 0.891 0.994
0.817 0.506 0.397
0.817 0.811 0.420
0.891 0.397 0.080
0.891 0.994 0.811
0.897 0.006 0.317
0.897 0.391 0.580
0.920 0.109 0.603
0.920 0.311 0.317
0.994 0.683 0.103
0.994 0.811 0.891
```

## Properties
Symmetry ... Ia-3d, No. 230
Size of the total moment ... 0.00 μB per formula unit
Calculated formation energy ... -1.872 eV/atom

For reference, theoretical density by record: 4.5; 4.2 g/cm³.
For reference, E_tot by record: -120.888; -448.447 eV per cell.